1.
Below is an optimized crystal structure of Ag2O3, with properties calculated at the PBE-GGA level.

Cell lengths 3.310, 11.011, 15.557 Å; angles 90.00, 90.00, 90.00 degrees
Space group Cmcm (No. 63)
Inequivalent atoms, fractional coordinates:
Ag 0.000 0.094 0.133 (multiplicity 8)
Ag 0.000 0.364 0.049 (multiplicity 8)
O 0.000 0.000 0.000 (multiplicity 4)
O 0.000 0.180 0.250 (multiplicity 4)
O 0.000 0.287 0.577 (multiplicity 8)
O 0.000 0.475 0.154 (multiplicity 8)

The calculation puts the total magnetic moment at 0.07 μB/atom. Its calculated density is 6.18 g/cm³. As for the formation energy: -0.12 eV per atom.

=====

2.
Below is an optimized crystal structure of Lu4CrS7, with properties calculated at the PBE-GGA level.

Cell lengths 12.255, 3.719, 11.205 Å; angles 90.00, 105.13, 90.00 degrees
Space group Cm (No. 8)
Inequivalent atoms, fractional coordinates:
Lu 0.000 0.000 0.000 (multiplicity 2)
Lu 0.081 0.500 0.364 (multiplicity 2)
Lu 0.195 0.500 0.802 (multiplicity 2)
Lu 0.388 0.000 0.601 (multiplicity 2)
Cr 0.309 0.500 0.221 (multiplicity 2)
S 0.035 0.000 0.745 (multiplicity 2)
S 0.162 0.500 0.024 (multiplicity 2)
S 0.200 0.000 0.293 (multiplicity 2)
S 0.231 0.500 0.582 (multiplicity 2)
S 0.356 0.000 0.848 (multiplicity 2)
S 0.427 0.000 0.151 (multiplicity 2)
S 0.448 0.500 0.434 (multiplicity 2)

The calculation puts the total magnetic moment at 0.33 μB/atom. Its calculated density is 6.58 g/cm³. As for the formation energy: -2.03 eV per atom.

=====

3.
Below is an optimized crystal structure of ZrSnCl6, with properties calculated at the PBE-GGA level.

Cell lengths 11.977, 6.685, 18.833 Å; angles 90.00, 91.95, 90.00 degrees
Space group Pc (No. 7)
Inequivalent atoms, fractional coordinates:
Zr 0.000 0.007 0.000 (multiplicity 2)
Zr 0.326 0.010 0.664 (multiplicity 2)
Zr 0.838 0.481 0.661 (multiplicity 2)
Sn 0.174 0.492 0.824 (multiplicity 2)
Sn 0.497 0.490 0.488 (multiplicity 2)
Sn 0.653 0.011 0.834 (multiplicity 2)
Cl 0.011 0.308 0.929 (multiplicity 2)
Cl 0.143 0.160 0.435 (multiplicity 2)
Cl 0.158 0.141 0.088 (multiplicity 2)
Cl 0.178 0.146 0.746 (multiplicity 2)
Cl 0.314 0.307 0.591 (multiplicity 2)
Cl 0.322 0.308 0.238 (multiplicity 2)
Cl 0.338 0.344 0.906 (multiplicity 2)
Cl 0.461 0.149 0.090 (multiplicity 2)
Cl 0.475 0.156 0.742 (multiplicity 2)
Cl 0.499 0.155 0.411 (multiplicity 2)
Cl 0.652 0.343 0.906 (multiplicity 2)
Cl 0.694 0.346 0.222 (multiplicity 2)
Cl 0.703 0.345 0.574 (multiplicity 2)
Cl 0.841 0.195 0.739 (multiplicity 2)
Cl 0.847 0.135 0.429 (multiplicity 2)
Cl 0.860 0.198 0.076 (multiplicity 2)
Cl 0.991 0.296 0.585 (multiplicity 2)
Cl 0.993 0.354 0.227 (multiplicity 2)

The calculation puts the total magnetic moment at 0.00 μB/atom. Its calculated density is 2.79 g/cm³. As for the formation energy: -1.92 eV per atom.

=====

4.
Below is an optimized crystal structure of RbAuBr3, with properties calculated at the PBE-GGA level.

Cell lengths 12.966, 7.481, 8.501 Å; angles 90.00, 117.74, 90.00 degrees
Space group C2/m (No. 12)
Inequivalent atoms, fractional coordinates:
Rb 0.226 0.000 0.230 (multiplicity 4)
Au 0.000 0.000 0.500 (multiplicity 2)
Au 0.000 0.500 0.000 (multiplicity 2)
Br 0.037 0.264 0.823 (multiplicity 8)
Br 0.213 0.000 0.635 (multiplicity 4)

Its calculated density is 4.75 g/cm³. As for the formation energy: -1.19 eV per atom.

=====

5.
Below is an optimized crystal structure of Tl2O3, with properties calculated at the PBE-GGA level.

Cell lengths 3.5929, 3.5929, 6.5128 Å; angles 90.00, 90.00, 120.00 degrees
Space group P-3m1 (No. 164)
Inequivalent atoms, fractional coordinates:
Tl 0.3333 0.6667 0.2329 (multiplicity 2)
O 0.0000 0.0000 0.0000 (multiplicity 1)
O 0.3333 0.6667 0.6538 (multiplicity 2)

The calculation puts the total magnetic moment at 0.00 μB/atom. Its calculated density is 10.42 g/cm³. As for the formation energy: -0.99 eV per atom.

=====

6.
Below is an optimized crystal structure of Nd2S3O12, with properties calculated at the PBE-GGA level.

Cell lengths 21.672, 6.753, 7.003 Å; angles 90.00, 107.15, 90.00 degrees
Space group C2/c (No. 15)
Inequivalent atoms, fractional coordinates:
Nd 0.132 0.146 0.131 (multiplicity 8)
S 0.000 0.166 0.250 (multiplicity 4)
S 0.183 0.317 0.678 (multiplicity 8)
O 0.024 0.285 0.110 (multiplicity 8)
O 0.056 0.035 0.356 (multiplicity 8)
O 0.147 0.497 0.126 (multiplicity 8)
O 0.152 0.189 0.802 (multiplicity 8)
O 0.177 0.195 0.496 (multiplicity 8)
O 0.249 0.147 0.210 (multiplicity 8)

Its calculated density is 3.91 g/cm³. As for the formation energy: -2.62 eV per atom.

=====

7.
Below is an optimized crystal structure of Te4AuO4F20, with properties calculated at the PBE-GGA level.

Cell lengths 5.823, 8.815, 10.525 Å; angles 113.79, 92.75, 93.45 degrees
Space group P-1 (No. 2)
Inequivalent atoms, fractional coordinates:
Te 0.241 0.112 0.247 (multiplicity 2)
Te 0.245 0.368 0.755 (multiplicity 2)
Au 0.000 0.000 0.500 (multiplicity 1)
O 0.215 0.978 0.354 (multiplicity 2)
O 0.250 0.130 0.646 (multiplicity 2)
F 0.038 0.629 0.339 (multiplicity 2)
F 0.042 0.983 0.856 (multiplicity 2)
F 0.089 0.285 0.376 (multiplicity 2)
F 0.090 0.329 0.892 (multiplicity 2)
F 0.238 0.596 0.857 (multiplicity 2)
F 0.275 0.240 0.143 (multiplicity 2)
F 0.391 0.943 0.118 (multiplicity 2)
F 0.411 0.412 0.623 (multiplicity 2)
F 0.471 0.791 0.658 (multiplicity 2)
F 0.475 0.631 0.151 (multiplicity 2)

The calculation puts the total magnetic moment at 0.03 μB/atom. Its calculated density is 3.89 g/cm³. As for the formation energy: -2.06 eV per atom.

=====

8.
Below is an optimized crystal structure of TbPaO4, with properties calculated at the PBE-GGA level.

Cell lengths 3.816, 3.816, 5.416 Å; angles 90.00, 90.00, 90.00 degrees
Space group P4/mmm (No. 123)
Inequivalent atoms, fractional coordinates:
Tb 0.000 0.000 0.000 (multiplicity 1)
Pa 0.500 0.500 0.500 (multiplicity 1)
O 0.000 0.500 0.261 (multiplicity 4)

Its calculated density is 9.56 g/cm³. As for the formation energy: -4.18 eV per atom.

=====

9.
Below is an optimized crystal structure of NbCr2, with properties calculated at the PBE-GGA level.

Cell lengths 4.8950, 4.8950, 8.1053 Å; angles 90.00, 90.00, 120.00 degrees
Space group P6_3/mmc (No. 194)
Inequivalent atoms, fractional coordinates:
Nb 0.3333 0.6667 0.0607 (multiplicity 4)
Cr 0.0000 0.0000 0.0000 (multiplicity 2)
Cr 0.1699 0.3398 0.7500 (multiplicity 6)

Its calculated density is 7.78 g/cm³. As for the formation energy: -0.01 eV per atom.

=====

10.
Below is an optimized crystal structure of LiAuF4, with properties calculated at the PBE-GGA level.

Cell lengths 4.988, 6.642, 10.157 Å; angles 90.00, 92.83, 90.00 degrees
Space group P2/c (No. 13)
Inequivalent atoms, fractional coordinates:
Li 0.000 0.083 0.250 (multiplicity 2)
Li 0.500 0.400 0.250 (multiplicity 2)
Au 0.000 0.500 0.000 (multiplicity 2)
Au 0.500 0.000 0.000 (multiplicity 2)
F 0.177 0.346 0.363 (multiplicity 4)
F 0.207 0.094 0.879 (multiplicity 4)
F 0.296 0.418 0.624 (multiplicity 4)
F 0.322 0.142 0.142 (multiplicity 4)

The calculation puts the total magnetic moment at 0.00 μB/atom. Its calculated density is 5.53 g/cm³. As for the formation energy: -2.02 eV per atom.

=====

11.
Below is an optimized crystal structure of La2Ti3Ag2O10, with properties calculated at the PBE-GGA level.

Cell lengths 3.864, 3.864, 29.261 Å; angles 90.00, 90.00, 90.00 degrees
Space group I4/mmm (No. 139)
Inequivalent atoms, fractional coordinates:
La 0.000 0.000 0.074 (multiplicity 4)
Ti 0.000 0.000 0.354 (multiplicity 4)
Ti 0.000 0.000 0.500 (multiplicity 2)
Ag 0.000 0.000 0.215 (multiplicity 4)
O 0.000 0.000 0.293 (multiplicity 4)
O 0.000 0.000 0.433 (multiplicity 4)
O 0.000 0.500 0.000 (multiplicity 4)
O 0.000 0.500 0.131 (multiplicity 8)

The calculation puts the total magnetic moment at 0.00 μB/atom. Its calculated density is 6.06 g/cm³. As for the formation energy: -3.06 eV per atom.

=====

12.
Below is an optimized crystal structure of LiGeN, with properties calculated at the PBE-GGA level.

Cell lengths 5.534, 4.132, 6.924 Å; angles 90.00, 90.00, 90.00 degrees
Space group Pnma (No. 62)
Inequivalent atoms, fractional coordinates:
Li 0.077 0.250 0.088 (multiplicity 4)
Ge 0.042 0.250 0.608 (multiplicity 4)
N 0.123 0.750 0.155 (multiplicity 4)

The calculation puts the total magnetic moment at 0.00 μB/atom. The calculation puts the relative energy among the computed polymorphs at 9 meV/atom. Its calculated density is 3.93 g/cm³. As for the formation energy: -0.41 eV per atom.

=====

13.
Below is an optimized crystal structure of GeS2F12, with properties calculated at the PBE-GGA level.

Cell lengths 7.651, 9.666, 6.129 Å; angles 90.00, 90.00, 90.00 degrees
Space group Pnnm (No. 58)
Inequivalent atoms, fractional coordinates:
Ge 0.000 0.000 0.000 (multiplicity 2)
S 0.068 0.243 0.500 (multiplicity 4)
F 0.027 0.347 0.311 (multiplicity 8)
F 0.117 0.826 0.500 (multiplicity 4)
F 0.131 0.086 0.212 (multiplicity 8)
F 0.152 0.853 0.000 (multiplicity 4)

Its calculated density is 2.67 g/cm³. As for the formation energy: -2.25 eV per atom.

=====

14.
Below is an optimized crystal structure of Li3CuO2, with properties calculated at the PBE-GGA level.

Cell lengths 5.495, 7.878, 6.936 Å; angles 90.00, 116.99, 90.00 degrees
Space group P2_1/c (No. 14)
Inequivalent atoms, fractional coordinates:
Li 0.238 0.034 0.121 (multiplicity 4)
Li 0.250 0.014 0.479 (multiplicity 4)
Li 0.251 0.702 0.314 (multiplicity 4)
Cu 0.290 0.171 0.817 (multiplicity 4)
O 0.044 0.010 0.798 (multiplicity 4)
O 0.458 0.668 0.139 (multiplicity 4)

The calculation puts the total magnetic moment at 0.00 μB/atom. Its calculated density is 2.89 g/cm³. As for the formation energy: -1.65 eV per atom.